A plane-wave DFT calculation with meta-GGA r2SCAN was carried out for a relaxed structure of Ga2Sn2S5.

Results
Calculated total energy, eV per atom: -13.175
Symmetry: Pna2_1

Cell lengths 12.567, 6.325, 10.963 Å; angles 90.00, 90.00, 90.00 degrees
Atoms (fractional coordinates):
Ga (0.181, 0.150, 0.000)
Ga (0.232, 0.644, 0.834)
Ga (0.268, 0.144, 0.334)
Ga (0.319, 0.650, 0.500)
Ga (0.681, 0.350, 0.000)
Ga (0.732, 0.856, 0.834)
Ga (0.768, 0.356, 0.334)
Ga (0.819, 0.850, 0.500)
Sn (0.020, 0.448, 0.474)
Sn (0.040, 0.048, 0.701)
Sn (0.460, 0.548, 0.201)
Sn (0.480, 0.948, 0.974)
Sn (0.520, 0.052, 0.474)
Sn (0.540, 0.452, 0.701)
Sn (0.960, 0.952, 0.201)
Sn (0.980, 0.552, 0.974)
S (0.006, 0.142, 0.940)
S (0.061, 0.644, 0.757)
S (0.172, 0.977, 0.184)
S (0.212, 0.487, 0.358)
S (0.228, 0.492, 0.020)
S (0.272, 0.992, 0.520)
S (0.288, 0.987, 0.858)
S (0.328, 0.477, 0.684)
S (0.439, 0.144, 0.257)
S (0.494, 0.642, 0.440)
S (0.506, 0.358, 0.940)
S (0.561, 0.856, 0.757)
S (0.672, 0.523, 0.184)
S (0.712, 0.013, 0.358)
S (0.728, 0.008, 0.020)
S (0.772, 0.508, 0.520)
S (0.788, 0.513, 0.858)
S (0.828, 0.023, 0.684)
S (0.939, 0.356, 0.257)
S (0.994, 0.858, 0.440)